a) Below is Li2VF5 after structural relaxation, with properties calculated at the GGA+U level.

Calculated values
ρ: 3.023 g cm⁻³
magnetization: 2.0 μB per formula unit

```
Li2VF5
1.0
-4.5264 2.5951 0.9759
-5.5543 -5.4162 -11.3593
-5.4629 -11.8955 6.2951
V F Li
12 60 24
Cartesian
-7.2675 -3.1722 -3.5072
-7.3755 -8.4596 -4.6126
-4.6352 -5.7303 1.0750
-8.1682 -6.2570 0.5243
-6.7236 -5.4258 -8.5433
-5.5341 -8.8162 5.1061
-10.9085 -8.9863 -5.1633
-8.2762 -11.5444 -0.5811
-10.0095 -5.9004 -9.1944
-11.9095 -11.8199 -1.1573
-8.8200 -9.2908 4.4550
-3.6341 -2.8967 -2.9310
-4.1824 -7.6088 1.5249
-10.6527 -13.5029 -4.4248
-4.0157 -3.9898 -4.7325
-10.6491 -7.2278 -3.1062
-9.3688 -9.2239 -6.2959
-9.0846 -9.7556 -0.4286
-9.5222 -12.5575 0.5145
-8.2511 -3.5876 -5.2174
-6.2217 -4.6464 -6.7852
-6.1748 -5.4927 2.2076
-6.5372 -5.5732 -0.3749
-4.8909 -1.2137 0.3365
-8.4756 -6.8505 -4.9451
-10.8533 -10.8186 -4.5309
-7.4242 -3.1530 1.1066
-9.3219 -10.0702 2.6969
-7.5565 -2.1408 -1.6481
-8.4353 -5.9373 -7.7370
-4.1081 -0.9916 -3.0414
-10.4334 -4.5939 -7.3900
-11.4355 -13.7250 -1.0469
-8.1194 -11.5636 -5.1950
-8.0265 -5.9906 -10.1462
-7.2926 -11.1290 1.1291
-6.9145 -7.5726 -2.9112
-1.8355 -3.3115 1.6219
-7.0680 -7.8661 0.8567
-4.5201 1.2805 1.3518
-7.5171 -8.7260 6.0578
-12.8826 -12.3291 -2.8138
-9.9622 -7.8075 -8.6679
-7.9871 -12.5758 -2.4402
-8.7140 -4.2228 -2.6586
-9.5228 -7.2811 1.4606
-4.6903 -3.8980 0.4426
-5.5814 -6.9091 4.5795
-2.6610 -2.3875 -1.2745
-6.5146 0.1963 -2.8204
-5.1102 -10.1227 3.3017
-6.0215 -2.1591 -4.6029
-11.3612 -7.1078 -5.6132
-3.5716 -5.1889 2.6465
-11.9721 -9.5277 -6.7348
-6.0208 -7.4355 -5.5490
-4.9543 -4.8068 -9.1374
-5.4197 -3.1681 -2.1925
-6.4591 -4.9610 -3.6597
-8.2161 -11.0786 4.8352
-13.7081 -11.4051 -5.7102
-11.5279 -10.7268 0.6442
-9.0064 -9.1434 -3.7135
-10.5893 -9.9098 5.0490
-10.1239 -11.5485 -1.8958
-7.3275 -3.6380 -8.9235
-6.8296 -10.4938 -1.4297
-7.1083 -8.7793 3.6487
-11.0235 -15.9971 -5.4402
-8.6291 -7.1440 -1.1771
-9.0290 -14.9129 -1.2679
-4.8946 -7.4888 -0.9821
-12.2990 -12.0706 -4.5714
-8.5813 -6.2257 -2.9826
-9.2758 -5.4119 -5.8820
-7.5436 -2.9322 -6.9813
-7.0506 -5.7942 3.9445
-5.6210 -5.5839 -5.2829
-9.3888 -11.8157 -3.8119
-10.3247 -14.7520 -2.8842
-9.9226 -9.1327 1.1946
-4.6839 -2.5819 -6.0412
-1.4050 -0.1615 -0.4697
-6.9623 -8.4909 -1.1057
-6.2399 -3.2678 2.7910
-10.8597 -12.1347 1.9529
-8.4931 -8.9224 -8.0328
-8.0000 -11.7844 2.8930
-6.1549 -2.9009 -0.2765
-3.2447 -2.6460 0.4831
-9.3037 -11.4488 -6.8793
-5.2189 0.0354 -1.2041
-14.1387 -14.5551 -3.6186
-5.5857 -6.2889 -2.3813
-6.2678 -9.3047 1.7937
-9.9580 -8.4277 -1.7071
```



b) Below is Li2VF5 after structural relaxation, with properties calculated at the GGA+U level.

Calculated values
ρ: 2.678 g cm⁻³
magnetization: 2.0 μB per formula unit

```
Li2VF5
1.0
6.3987 0.0000 0.0000
0.0000 7.6199 0.0000
0.0000 0.0000 8.1299
V F Li
4 20 8
Cartesian
1.7116 5.6919 5.2703
1.4877 1.9280 1.2054
4.9110 5.7379 2.8596
4.6871 1.8820 6.9245
0.5401 1.8888 2.8895
1.6716 7.6128 5.0606
3.1349 2.0407 2.2363
0.0644 5.5792 6.3013
1.8623 3.7811 4.9608
4.8709 3.8170 3.0692
4.5364 7.5910 7.2340
1.3370 3.8388 0.8958
3.7395 1.9211 5.2404
1.5278 0.0071 0.9957
5.8585 5.6987 1.1754
0.5220 5.7316 3.5793
4.7271 3.8028 7.1342
2.6592 5.7311 6.9545
5.0616 0.0289 3.1691
6.3343 1.7692 5.8935
3.7214 5.6982 4.5506
5.8766 1.9216 0.4857
3.2638 5.8506 1.8286
2.6773 1.8883 7.6442
1.3440 5.7237 1.7712
6.3158 4.4857 7.9249
4.5433 5.7061 6.3586
1.8554 1.8962 5.8362
3.1164 6.9441 0.2050
5.0547 1.9138 2.2937
3.2823 3.1342 3.8599
0.0829 0.6758 4.2700
```



Most stable structure - b); separation to the second - 30 meV per atom.



a) Below is La2TiCrO6 after structural relaxation, with properties calculated at the GGA+U level.

Calculated values
ρ: 6.357 g cm⁻³
magnetization: 2.0 μB per formula unit

```
La2TiCrO6
1.0
2.8330 1.6356 4.4504
-2.8331 1.6355 4.4505
-0.0001 -3.2712 4.4505
O La Ti Cr
6 2 1 1
Cartesian
1.6069 -0.4643 7.7932
-1.6071 0.4642 5.5582
0.4014 -1.6238 5.5582
1.2055 1.1595 5.5582
-0.4015 1.6238 7.7932
-1.2056 -1.1596 7.7932
-0.0001 -0.0001 10.0283
0.0000 0.0000 3.3231
0.0000 0.0000 0.0000
-0.0003 -0.0002 6.6752
```



b) Below is La2TiCrO6 after structural relaxation, with properties calculated at the GGA+U level.

Calculated values
ρ: 6.221 g cm⁻³
magnetization: 1.0 μB per formula unit

```
La2TiCrO6
1.0
-0.7992 2.0821 -5.1933
-10.6814 -3.0130 0.4622
-1.6343 7.2608 3.0944
La Ti O Cr
8 4 24 4
Cartesian
-4.6888 6.7654 -2.7531
-6.0987 1.3295 -1.5650
-10.1519 5.2380 -2.4701
-1.6314 6.4966 -0.2785
-8.4712 -0.4243 1.0932
-3.0784 1.0750 0.8820
-6.8503 5.0100 -0.1008
-0.8109 2.8424 -1.8162
-5.3577 -1.5054 0.2273
-9.2108 2.4104 -0.6992
-3.8674 3.9193 -0.9340
-0.0192 -0.0015 0.0004
-6.4444 4.3474 2.1144
-4.0863 -0.2379 -0.8370
-8.9891 6.6348 -0.8751
-6.2788 7.2821 -0.6080
-1.4359 0.5305 -1.3289
-10.7223 2.9650 -1.9637
-10.4822 1.1433 0.3646
-4.2235 5.6041 0.2323
-7.7927 1.8276 0.5348
-9.7589 3.8188 0.5085
-8.9440 0.9061 -1.8977
-5.1284 2.7621 0.0934
-1.2967 5.5742 1.9287
-3.5151 2.2607 -2.1110
-2.4518 3.3873 0.3953
-6.7768 -0.9220 -1.0059
-2.6098 5.0693 -2.0031
-9.4411 -1.8570 -0.5653
-1.1705 3.7391 -4.0160
-11.6985 5.7581 -0.3582
-8.0133 3.6135 -1.6954
-5.3027 4.4901 -2.2125
-6.4209 2.0821 -3.7677
-3.7093 8.1915 -1.0289
-1.6259 5.6970 -3.6403
-10.0244 6.0319 0.8404
-3.0602 0.3044 -2.4870
-6.1800 2.1336 1.7809
```



Most stable structure - b); separation to the second - 6 meV per atom.



a) Below is MgZnCo4O8 after structural relaxation, with properties calculated at the GGA+U level.

Calculated values
ρ: 4.529 g cm⁻³
magnetization: 12.0 μB per formula unit

```
MgZnCo4O8
1.0
3.0231 0.0888 0.5813
1.4080 7.2087 1.6852
-0.1389 1.4682 7.9369
Co O Mg Zn
4 8 1 1
Cartesian
2.1966 2.0603 4.8396
1.0426 4.7615 3.1791
2.0116 6.6646 5.7350
3.1610 3.9811 7.3711
1.6834 8.0143 7.0551
1.0284 2.9199 3.5770
1.8252 3.1943 6.2668
2.9843 1.8923 1.0937
3.1799 5.8119 7.0184
2.3782 5.5406 4.3094
1.3681 5.2962 1.5199
2.4887 0.7070 3.5405
2.9601 7.1748 8.5625
1.2444 1.5880 1.9753
```



b) Below is MgZnCo4O8 after structural relaxation, with properties calculated at the GGA+U level.

Calculated values
ρ: 4.761 g cm⁻³
magnetization: 11.9 μB per formula unit

```
MgZnCo4O8
1.0
-1.5397 -2.0100 1.5223
5.5127 -4.5879 2.3411
2.3178 1.6480 7.3354
Co Mg O Zn
4 1 8 1
Cartesian
5.4824 -3.4098 6.6916
2.9361 -2.2621 8.4988
1.5025 -1.2251 5.6002
3.3056 -2.5815 2.7459
7.4525 -2.8031 9.4663
-0.1507 -0.9067 4.3559
3.8331 -3.6508 7.5764
2.8411 -1.2502 6.8684
1.5337 0.8333 5.4801
3.5877 -4.4313 3.4614
-0.2699 -2.4967 2.1302
4.6007 -1.2729 8.6194
2.6008 -1.2506 3.8060
0.9119 -0.9413 2.5166
```



Most stable structure - a); separation to the second - 77 meV per atom.



a) Below is MgCu2W2O8 after structural relaxation, with properties calculated at the GGA+U level.

Calculated values
ρ: 6.174 g cm⁻³
magnetization: 0.0 μB per formula unit

```
MgCu2W2O8
1.0
5.3888 0.6599 0.4180
0.9186 5.1771 0.2118
-0.2776 0.0972 6.3583
O Cu W Mg
8 2 2 1
Cartesian
1.6833 2.8934 2.3788
4.7664 3.0050 1.1094
1.8396 5.3025 0.9240
4.9205 5.7179 6.3021
1.2477 0.8426 4.3923
4.1705 2.9493 4.7306
1.1936 2.9181 5.8801
4.7489 5.2310 2.6940
4.4017 5.0327 4.5744
2.1999 0.9484 1.9572
5.9904 4.4305 1.5519
5.2649 2.0363 5.9591
2.2997 2.6422 4.2590
```



b) Below is MgCu2W2O8 after structural relaxation, with properties calculated at the GGA+U level.

Calculated values
ρ: 5.864 g cm⁻³
magnetization: 0.0 μB per formula unit

```
MgCu2W2O8
1.0
8.6584 0.0000 0.0000
0.0000 6.6768 0.0000
0.0000 0.4461 12.6785
Cu W O Mg
8 8 32 4
Cartesian
4.7791 4.2214 1.4904
8.2085 4.4445 7.8297
3.8793 2.9015 11.1881
1.6020 5.1999 1.6924
0.4499 2.6785 4.8489
5.9312 1.7000 4.6469
2.7272 5.4229 8.0316
7.0564 1.9230 10.9862
5.0064 2.8700 7.9836
4.7091 6.4031 10.7060
3.6520 4.2529 4.6949
8.2785 6.1801 4.3667
0.3799 0.9429 8.3118
3.9493 0.7198 1.9726
7.9811 2.6470 1.6444
0.6772 4.4760 11.0342
3.3664 3.5871 8.0632
5.2696 6.1999 1.4431
0.1099 4.5821 5.0406
8.5485 2.5409 7.6379
5.2920 3.5358 4.6153
0.5892 5.9135 12.2235
4.9184 1.4324 6.7943
0.9404 0.6999 4.8962
3.7400 5.6905 5.8842
4.7707 6.1972 8.8927
0.4415 1.1487 10.1251
6.8621 3.9716 1.0512
6.3605 6.7852 11.4559
8.2168 5.9742 2.5534
5.4438 2.3321 9.6783
7.7180 6.4230 7.7823
7.5438 2.1091 3.3390
2.0313 0.5608 7.5619
4.4391 2.3178 1.2987
3.2146 4.7908 3.0002
8.0692 1.2094 0.4550
6.1254 4.1946 7.3904
6.6271 6.5621 5.1167
7.6956 3.7589 10.9546
3.3888 0.9230 11.2354
4.2193 4.8051 11.3798
0.9628 3.3641 1.7239
1.7963 3.1513 11.6273
1.1146 5.0138 9.3395
3.8877 0.9257 3.7859
2.2979 0.3377 1.2226
2.5329 2.9283 5.2881
2.9274 0.9344 5.6724
7.2566 5.9655 0.6668
1.4018 1.1574 12.0117
5.7310 6.1885 7.0061
```



Most stable structure - a); separation to the second - 12 meV per atom.



a) Below is Li8Mn3Fe5B8O24 after structural relaxation, with properties calculated at the GGA+U level.

Calculated values
ρ: 3.187 g cm⁻³
magnetization: 35.0 μB per formula unit

```
Li8Mn3Fe5B8O24
1.0
5.2360 0.0000 0.0000
0.1087 6.0330 0.0000
0.2188 2.2864 15.9986
B O Li Mn Fe
8 24 8 3 5
Cartesian
1.7738 0.9051 4.7410
1.0761 5.3483 7.2435
4.4327 4.8660 0.7431
4.4829 2.9845 8.7513
1.1315 3.4649 15.2638
3.5979 3.2722 3.2305
3.7764 7.4233 11.2480
1.9553 5.0541 12.7599
1.2885 4.2569 11.8242
4.3005 2.2219 12.1662
3.1429 0.7795 4.9141
3.3128 4.9329 12.9409
2.4154 7.5333 11.0196
1.8359 4.4258 6.5081
0.5572 4.7347 0.9316
1.2085 5.9479 13.5414
4.9499 5.4580 7.0184
1.8699 2.5399 14.5072
1.0500 1.7985 5.5364
3.6979 5.7694 1.5279
1.5947 2.0101 0.1526
0.6061 2.8649 8.9346
4.5368 6.5039 10.5081
5.0037 3.5846 15.0698
4.2475 4.0817 4.1563
3.8219 2.1836 7.8191
4.3455 2.3518 2.4709
2.2394 3.3853 3.0267
3.9920 6.3456 15.8186
1.2212 6.1335 3.8126
3.7386 3.8823 9.5358
1.7102 6.1848 8.1547
3.6247 3.0817 13.7792
1.9378 5.2455 2.2121
0.8746 2.8892 1.7287
1.9838 3.3573 10.2339
3.5726 4.9498 5.7561
1.0319 7.0440 9.7568
4.6912 5.4248 14.2431
4.5249 1.2783 6.2246
1.0623 1.9309 12.6638
3.7058 5.9014 8.6623
1.0077 3.8307 4.6588
4.5882 4.4740 11.3661
4.4971 6.3514 3.3864
2.0601 6.5427 15.3635
1.8846 2.3974 7.3661
3.5620 1.7383 0.6889
```



b) Below is Li8Mn3Fe5B8O24 after structural relaxation, with properties calculated at the GGA+U level.

Calculated values
ρ: 3.189 g cm⁻³
magnetization: 35.0 μB per formula unit

```
Li8Mn3Fe5B8O24
1.0
0.0731 4.0790 3.2702
5.5208 1.5424 -1.8668
-4.2741 10.0004 -12.0073
Li O B Fe Mn
8 24 8 5 3
Cartesian
1.9377 2.3875 -1.6300
-1.2592 7.4625 -2.0349
-2.5780 11.5214 -8.5064
-0.9766 8.3133 -7.1450
2.5617 8.1577 -8.5806
-0.6068 13.2168 -8.9631
2.2962 7.3206 -3.4729
3.9111 4.0882 -2.0815
3.9622 2.1683 -1.8693
-3.3809 10.4498 -9.9630
1.8039 1.7607 0.2279
-0.9196 6.3631 -6.8883
-0.4865 13.8585 -10.8301
-0.1796 9.3986 -5.6892
-0.5711 11.2764 -8.7312
-1.0688 8.0542 -3.8812
4.7037 5.1595 -0.6468
4.0948 4.6753 -3.9391
-0.8131 8.8878 -9.0103
1.8996 4.3155 -1.8368
0.1233 10.2142 -10.7907
2.2411 9.2825 -3.7200
-0.5553 4.4845 -3.8717
1.4859 6.2535 -4.9272
2.1505 6.7056 -1.6294
1.1971 5.4274 0.1871
-2.7529 10.9381 -6.6468
1.8442 11.1403 -6.7329
2.5338 10.0914 -8.8011
-1.2099 5.5210 -1.7957
2.4012 7.5890 -6.7208
-2.6375 13.4496 -8.7441
-0.3990 10.1340 -9.4876
2.0023 6.3421 -6.2220
-2.8624 10.5260 -11.2722
-1.0494 4.3868 -2.5633
1.7323 5.4838 -1.1090
-0.6847 9.2928 -4.3850
4.1861 5.0886 0.6606
2.3624 11.2326 -8.0378
4.5361 7.0123 -1.5862
-0.3337 11.2058 -6.6474
-0.7248 6.3175 -4.8836
2.0240 9.2986 -5.7526
-3.2119 8.6405 -9.0168
1.6353 4.4035 -3.9156
-0.0755 12.0579 -11.7960
1.3877 3.5671 1.1857
```



Most stable structure - a); separation to the second - 12 meV per atom.